# 1
Li3FeBO4 | GGA+U | relaxed

Lattice parameters (Å, degrees): 9.6579 9.6579 9.6579 116.50 116.50 96.17
Last column: nearest neighbours and their distance in Å.
Element x y z (fractional)
Li (0.0311, 0.4210, 0.5786)  3 O 1.91-1.98
Li (0.0476, 0.4689, 0.8900)  3 O 1.91-1.98
Li (0.0790, 0.1576, 0.6100)  3 O 1.91-1.98
Li (0.1421, 0.7899, 0.1036)  3 O 1.88-2.01
Li (0.1602, 0.0641, 0.1174)  3 O 1.90-2.04
Li (0.1863, 0.0385, 0.3964)  3 O 1.88-2.01
Li (0.2899, 0.6863, 0.6478)  3 O 1.88-2.01
Li (0.3424, 0.4524, 0.9214)  3 O 1.91-1.98
Li (0.4359, 0.0532, 0.0961)  3 O 1.90-2.04
Li (0.4468, 0.0429, 0.3826)  3 O 1.90-2.04
Li (0.4571, 0.3398, 0.4039)  3 O 1.90-2.04
Li (0.4615, 0.3579, 0.1478)  3 O 1.88-2.01
Li (0.5385, 0.6421, 0.8522)  3 O 1.88-2.01
Li (0.5429, 0.6602, 0.5961)  3 O 1.90-2.04
Li (0.5532, 0.9571, 0.6174)  3 O 1.90-2.04
Li (0.5641, 0.9468, 0.9039)  3 O 1.90-2.04
Li (0.6576, 0.5476, 0.0786)  3 O 1.91-1.98
Li (0.7101, 0.3137, 0.3522)  3 O 1.88-2.01
Li (0.8137, 0.9615, 0.6036)  3 O 1.88-2.01
Li (0.8398, 0.9359, 0.8826)  3 O 1.90-2.04
Li (0.8579, 0.2101, 0.8964)  3 O 1.88-2.01
Li (0.9210, 0.8424, 0.3900)  3 O 1.91-1.98
Li (0.9524, 0.5311, 0.1100)  3 O 1.91-1.98
Li (0.9689, 0.5790, 0.4214)  3 O 1.91-1.98
Fe (0.0501, 0.8423, 0.7559)  4 O 2.01-2.10
Fe (0.2058, 0.4499, 0.2922)  4 O 2.01-2.10
Fe (0.3423, 0.0864, 0.7922)  4 O 2.01-2.10
Fe (0.4136, 0.7058, 0.2559)  4 O 2.01-2.10
Fe (0.5864, 0.2942, 0.7441)  4 O 2.01-2.10
Fe (0.6577, 0.9136, 0.2078)  4 O 2.01-2.10
Fe (0.7942, 0.5501, 0.7078)  4 O 2.01-2.10
Fe (0.9499, 0.1577, 0.2441)  4 O 2.01-2.10
B (0.1485, 0.2282, 0.9733)  4 O 1.49-1.54
B (0.2451, 0.8248, 0.4733)  4 O 1.49-1.54
B (0.2718, 0.7451, 0.9203)  4 O 1.49-1.54
B (0.3248, 0.3515, 0.5797)  4 O 1.49-1.54
B (0.6752, 0.6485, 0.4203)  4 O 1.49-1.54
B (0.7282, 0.2549, 0.0797)  4 O 1.49-1.54
B (0.7549, 0.1752, 0.5267)  4 O 1.49-1.54
B (0.8515, 0.7718, 0.0267)  4 O 1.49-1.54
O (0.0104, 0.0557, 0.8630)  1 B 1.54
O (0.0765, 0.3617, 0.0199)  1 B 1.52
O (0.1348, 0.6478, 0.3744)  1 B 1.49
O (0.1383, 0.6582, 0.7147)  1 B 1.52
O (0.1478, 0.2734, 0.5130)  1 B 1.49
O (0.1582, 0.9435, 0.5199)  1 B 1.52
O (0.2266, 0.2396, 0.8744)  1 B 1.49
O (0.2351, 0.8952, 0.0158)  1 B 1.51
O (0.2604, 0.6348, 0.9870)  1 B 1.49
O (0.2807, 0.2649, 0.1601)  1 B 1.51
O (0.3073, 0.8526, 0.3630)  1 B 1.54
O (0.3526, 0.4896, 0.5453)  1 B 1.54
O (0.3794, 0.2193, 0.4842)  1 B 1.51
O (0.3952, 0.8794, 0.6601)  1 B 1.51
O (0.4435, 0.4235, 0.7853)  1 B 1.52
O (0.4443, 0.8073, 0.9547)  1 B 1.54
O (0.5557, 0.1927, 0.0453)  1 B 1.54
O (0.5565, 0.5765, 0.2147)  1 B 1.52
O (0.6048, 0.1206, 0.3399)  1 B 1.51
O (0.6206, 0.7807, 0.5158)  1 B 1.51
O (0.6474, 0.5104, 0.4547)  1 B 1.54
O (0.6927, 0.1474, 0.6370)  1 B 1.54
O (0.7193, 0.7351, 0.8399)  1 B 1.51
O (0.7396, 0.3652, 0.0130)  1 B 1.49
O (0.7649, 0.1048, 0.9842)  1 B 1.51
O (0.7734, 0.7604, 0.1256)  1 B 1.49
O (0.8418, 0.0565, 0.4801)  1 B 1.52
O (0.8522, 0.7266, 0.4870)  1 B 1.49
O (0.8617, 0.3418, 0.2853)  1 B 1.52
O (0.8652, 0.3522, 0.6256)  1 B 1.49
O (0.9235, 0.6383, 0.9801)  1 B 1.52
O (0.9896, 0.9443, 0.1370)  1 B 1.54

Results
Energy with MP2020 corrections ... -6.76 eV per atom
Space-group type ... No. 88

# 2
LiFe8B8O24 | GGA+U | relaxed

Lattice parameters (Å, degrees): 5.2165 9.1877 10.2024 89.93 89.93 89.02
Last column: nearest neighbours and their distance in Å.
Element x y z (fractional)
Li (0.0000, 0.0000, 0.0000)  3 O 1.93-2.02
Fe (0.3328, 0.0082, 0.7197)  4 O 1.87-2.02
Fe (0.3326, 0.6793, 0.2247)  4 O 1.84-2.04
Fe (0.4883, 0.1698, 0.4697)  4 O 1.86-2.03
Fe (0.4981, 0.8285, 0.9715)  5 O 1.90-2.05
Fe (0.8278, 0.5119, 0.7199)  5 O 1.86-2.08
Fe (0.8295, 0.1818, 0.2268)  4 O 2.02-2.10
Fe (0.9850, 0.3418, 0.9719)  5 O 1.88-2.07
Fe (0.9857, 0.6708, 0.4725)  5 O 1.86-2.08
B (0.0071, 0.6744, 0.9687)  3 O 1.37-1.40
B (0.3198, 0.6752, 0.7211)  3 O 1.34-1.41
B (0.3363, 0.0025, 0.2145)  3 O 1.34-1.43
B (0.4845, 0.8438, 0.4730)  3 O 1.35-1.40
B (0.4927, 0.1664, 0.9694)  3 O 1.35-1.43
B (0.8229, 0.1766, 0.7278)  3 O 1.36-1.40
B (0.8320, 0.5091, 0.2198)  3 O 1.35-1.41
B (0.9884, 0.3415, 0.4771)  3 O 1.35-1.41
O (0.0695, 0.6713, 0.6718)  1 B 1.40
O (0.0899, 0.0241, 0.1818)  1 B 1.34
O (0.2455, 0.3194, 0.4819)  1 B 1.35
O (0.2549, 0.6755, 0.0211)  1 B 1.40
O (0.3214, 0.7419, 0.4165)  1 B 1.40
O (0.3306, 0.2820, 0.9759)  1 B 1.35
O (0.3703, 0.9699, 0.5261)  1 B 1.40
O (0.3967, 0.0303, 0.9255)  1 B 1.43
O (0.3999, 0.8065, 0.7779)  1 B 1.41
O (0.4630, 0.8728, 0.1681)  1 B 1.43
O (0.4792, 0.5587, 0.7168)  1 B 1.34
O (0.4846, 0.1008, 0.2832)  1 B 1.39
O (0.5757, 0.1631, 0.6771)  1 B 1.40
O (0.5758, 0.5317, 0.2226)  1 B 1.35
O (0.7396, 0.8196, 0.4765)  1 B 1.35
O (0.7515, 0.1698, 0.0026)  1 B 1.39
O (0.8278, 0.2382, 0.4264)  1 B 1.38
O (0.8600, 0.7996, 0.9702)  1 B 1.37
O (0.8765, 0.4726, 0.5242)  1 B 1.41
O (0.8971, 0.3125, 0.7759)  1 B 1.40
O (0.9164, 0.5459, 0.9158)  1 B 1.39
O (0.9412, 0.3870, 0.1605)  1 B 1.39
O (0.9870, 0.0605, 0.7346)  1 B 1.36
O (0.9945, 0.6103, 0.2788)  1 B 1.41

Results
Energy with MP2020 corrections ... -8.10 eV per atom
Space-group type ... No. 1

# 3
LiFe2B2O6 | GGA+U | relaxed

Lattice parameters (Å, degrees): 5.2659 9.0728 10.2196 90.00 91.33 90.00
Last column: nearest neighbours and their distance in Å.
Element x y z (fractional)
Li (0.0000, 0.0043, 0.0000)  4 O 1.96-2.11
Li (0.0000, 0.9957, 0.5000)  4 O 1.96-2.11
Li (0.2081, 0.4862, 0.2483)  4 O 1.95-2.07
Li (0.2081, 0.5138, 0.7483)  4 O 1.95-2.07
Fe (0.0109, 0.3427, 0.5301)  4 O 1.98-2.17
Fe (0.0109, 0.6573, 0.0301)  4 O 1.98-2.17
Fe (0.1977, 0.1521, 0.2870)  3 O 1.98-2.12
Fe (0.1977, 0.8479, 0.7870)  3 O 1.98-2.12
Fe (0.5160, 0.1744, 0.0413)  5 O 1.90-2.10
Fe (0.5160, 0.8256, 0.5413)  5 O 1.90-2.10
Fe (0.6961, 0.3244, 0.7797)  5 O 1.90-2.11
Fe (0.6961, 0.6756, 0.2797)  5 O 1.90-2.11
B (0.0228, 0.3207, 0.0379)  3 O 1.35-1.42
B (0.0228, 0.6793, 0.5379)  3 O 1.35-1.42
B (0.1814, 0.1802, 0.7944)  3 O 1.36-1.41
B (0.1814, 0.8198, 0.2944)  3 O 1.36-1.41
B (0.5086, 0.1549, 0.5422)  3 O 1.39-1.40
B (0.5086, 0.8451, 0.0422)  3 O 1.39-1.40
B (0.7003, 0.3451, 0.2794)  3 O 1.38-1.40
B (0.7003, 0.6549, 0.7794)  3 O 1.38-1.40
O (0.0569, 0.0493, 0.8007)  1 B 1.36
O (0.0569, 0.9507, 0.3007)  1 B 1.36
O (0.0634, 0.3110, 0.7510)  1 B 1.41
O (0.0634, 0.6890, 0.2510)  1 B 1.41
O (0.1321, 0.4528, 0.0598)  1 B 1.35
O (0.1321, 0.5472, 0.5598)  1 B 1.35
O (0.1481, 0.1871, 0.0714)  1 B 1.42
O (0.1481, 0.8129, 0.5714)  1 B 1.42
O (0.2546, 0.1637, 0.5022)  1 B 1.39
O (0.2546, 0.8363, 0.0022)  1 B 1.39
O (0.4329, 0.1924, 0.8398)  1 B 1.40
O (0.4329, 0.8076, 0.3398)  1 B 1.40
O (0.5623, 0.2225, 0.2334)  1 B 1.40
O (0.5623, 0.7775, 0.7334)  1 B 1.40
O (0.5741, 0.4781, 0.2834)  1 B 1.38
O (0.5741, 0.5219, 0.7834)  1 B 1.38
O (0.6392, 0.0224, 0.5365)  1 B 1.39
O (0.6392, 0.9776, 0.0365)  1 B 1.39
O (0.6430, 0.2780, 0.5880)  1 B 1.40
O (0.6430, 0.7220, 0.0880)  1 B 1.40
O (0.7801, 0.3064, 0.9815)  1 B 1.40
O (0.7801, 0.6936, 0.4815)  1 B 1.40
O (0.9547, 0.3336, 0.3192)  1 B 1.40
O (0.9547, 0.6664, 0.8192)  1 B 1.40

Results
Energy with MP2020 corrections ... -7.90 eV per atom
Space-group type ... No. 7

| no. | electronic total energy (eV per atom) |
| --- | --- |
| 1 | -6.20 |
| 2 | -7.26 |
| 3 | -7.12 |